Material: MgMn6O11F
Method: DFT, GGA+U
State: optimized geometry

Unit cell a=6.9666 b=5.6830 c=5.8198 alpha=83.14 beta=71.52 gamma=74.22
Fractional coordinates of all 19 atoms:
1 O 0.6796 0.0179 0.6747
2 O 0.6438 0.6658 0.9807
3 O 0.7039 0.0696 0.1395
4 O 0.0237 0.6762 0.3391
5 O 0.6288 0.6099 0.5158
6 O 0.2839 0.9648 0.8662
7 O 0.9706 0.2548 0.1967
8 O 0.3545 0.4092 0.4979
9 O 0.9658 0.3322 0.6518
10 O 0.3139 0.9997 0.3273
11 O 0.0437 0.7179 0.8044
12 Mn 0.3299 0.7421 0.6043
13 Mn 0.0005 0.9323 0.0636
14 Mn 0.8200 0.6811 0.6584
15 Mn 0.1570 0.3358 0.3503
16 Mn 0.6646 0.3008 0.3808
17 Mn 0.5126 0.9871 0.0054
18 Mg 0.1521 0.3420 0.8436
19 F 0.3530 0.3607 0.0118

* E above lowest polymorph: 0.003 eV/atom
* formation energy from the elements: -2009 meV/atom
* SG: P1

Material: MgMn4O4F6
Method: DFT, GGA+U
State: optimized geometry

Unit cell a=5.1734 b=6.0555 c=7.9314 alpha=103.49 beta=72.47 gamma=63.81
Fractional coordinates of all 15 atoms:
1 Mn 0.2059 0.5128 0.6108
2 Mn 0.7928 0.4943 0.3939
3 Mn 0.6424 0.0656 0.1251
4 Mn 0.3570 0.9413 0.8793
5 Mg 0.0002 0.5033 0.0023
6 F 0.1072 0.7968 0.0537
7 F 0.6227 0.7499 0.2458
8 F 0.9464 0.7132 0.4705
9 F 0.8923 0.2102 0.9509
10 F 0.3769 0.2568 0.7585
11 F 0.0524 0.2938 0.5342
12 O 0.4035 0.7130 0.6469
13 O 0.7761 0.7618 0.8774
14 O 0.2236 0.2449 0.1271
15 O 0.5952 0.2943 0.3575

* E above lowest polymorph: 0.047 eV/atom
* formation energy from the elements: -2543 meV/atom
* SG: P-1

Material: MgMn4O4F4
Method: DFT, GGA+U
State: optimized geometry

Unit cell a=5.2870 b=5.9380 c=5.7521 alpha=84.60 beta=84.01 gamma=72.87
Fractional coordinates of all 13 atoms:
1 F 0.8112 0.0557 0.7415
2 F 0.7753 0.8824 0.2344
3 F 0.2159 0.7163 0.8764
4 F 0.3059 0.4275 0.4859
5 Mn 0.5011 0.3870 0.8080
6 Mn 0.9673 0.7416 0.5825
7 Mn 0.0039 0.0816 0.0925
8 Mn 0.5410 0.6484 0.2795
9 O 0.2053 0.9412 0.3667
10 O 0.6932 0.3718 0.0728
11 O 0.2412 0.2053 0.8939
12 O 0.7584 0.5015 0.5806
13 Mg 0.0914 0.2064 0.5852

* E above lowest polymorph: 0.079 eV/atom
* formation energy from the elements: -2448 meV/atom
* SG: P1

Material: MgMn6O11F
Method: DFT, GGA+U
State: optimized geometry

Unit cell a=11.8520 b=6.3894 c=2.9582 alpha=89.83 beta=88.83 gamma=108.13
Fractional coordinates of all 19 atoms:
1 Mn 0.0592 0.0046 0.0113
2 Mn 0.6241 0.3416 0.9775
3 Mn 0.3323 0.6651 0.9976
4 Mn 0.3388 0.1684 0.5081
5 Mn 0.6158 0.8463 0.4767
6 Mn 0.0445 0.4888 0.4796
7 Mg 0.8294 0.6590 0.9548
8 O 0.1648 0.0487 0.5176
9 O 0.3488 0.9809 0.0037
10 O 0.5172 0.2959 0.4867
11 O 0.0267 0.2841 0.9825
12 O 0.2217 0.6102 0.5027
13 O 0.7473 0.4290 0.4672
14 O 0.0050 0.6641 0.9773
15 O 0.6357 0.0493 0.9748
16 O 0.4421 0.7206 0.4888
17 O 0.6555 0.6760 0.9735
18 O 0.3288 0.3562 0.0047
19 F 0.8936 0.8882 0.4439

* E above lowest polymorph: 0.000 eV/atom
* formation energy from the elements: -2013 meV/atom
* SG: P1

Material: MgMn5O7F
Method: DFT, GGA+U
State: optimized geometry

Unit cell a=6.0378 b=6.2904 c=6.0431 alpha=61.69 beta=116.84 gamma=118.25
Fractional coordinates of all 14 atoms:
1 O 0.1708 0.4010 0.3693
2 O 0.5965 0.8464 0.8878
3 O 0.6301 0.4015 0.8288
4 O 0.6068 0.8056 0.3931
5 O 0.1498 0.4481 0.8503
6 O 0.1129 0.8461 0.4038
7 O 0.0968 0.8405 0.9031
8 Mn 0.8772 0.6396 0.6230
9 Mn 0.3770 0.6395 0.1229
10 Mn 0.3558 0.1152 0.6442
11 Mn 0.9986 0.0554 0.0015
12 Mn 0.3819 0.6339 0.6181
13 F 0.6336 0.3684 0.3666
14 Mg 0.8542 0.5024 0.1456

* E above lowest polymorph: 0.063 eV/atom
* formation energy from the elements: -2191 meV/atom
* SG: Cm

Material: MgMn4O4F8
Method: DFT, GGA+U
State: optimized geometry

Unit cell a=8.0765 b=5.1531 c=7.4941 alpha=88.57 beta=111.53 gamma=89.95
Fractional coordinates of all 17 atoms:
1 O 0.9654 0.3762 0.0070
2 O 0.0346 0.6238 0.9930
3 O 0.9364 0.0909 0.4726
4 O 0.0636 0.9091 0.5274
5 Mn 0.6842 0.9266 0.3427
6 Mn 0.3158 0.0734 0.6573
7 Mn 0.2701 0.4028 0.1157
8 Mn 0.7299 0.5972 0.8843
9 F 0.4205 0.7465 0.2780
10 F 0.5795 0.2535 0.7220
11 F 0.2731 0.3132 0.4039
12 F 0.4455 0.7174 0.6936
13 F 0.7269 0.6868 0.5961
14 F 0.5545 0.2826 0.3064
15 F 0.6988 0.7921 0.0987
16 F 0.3012 0.2079 0.9013
17 Mg 0.5000 0.5000 0.5000

* formation energy from the elements: -2273 meV/atom
* SG: P-1

Material: MgMn6O7F5
Method: DFT, GGA+U
State: optimized geometry

Unit cell a=5.2509 b=7.6449 c=5.8192 alpha=96.53 beta=82.60 gamma=94.26
Fractional coordinates of all 19 atoms:
1 Mn 0.5105 0.9882 0.4947
2 Mn 0.9386 0.6948 0.6149
3 Mn 0.5089 0.6715 0.1562
4 Mn 0.0538 0.2558 0.4467
5 Mn 0.9952 0.9872 0.9880
6 Mn 0.5300 0.3333 0.8248
7 O 0.8630 0.4386 0.6792
8 O 0.8419 0.7456 0.9499
9 O 0.8283 0.0676 0.2935
10 O 0.3956 0.2271 0.5507
11 O 0.6238 0.4404 0.1216
12 O 0.6298 0.7505 0.4452
13 O 0.1597 0.9129 0.6683
14 F 0.3314 0.5789 0.8663
15 F 0.6998 0.0903 0.8130
16 F 0.1204 0.5712 0.3088
17 F 0.1611 0.2552 0.0140
18 F 0.3348 0.8938 0.1647
19 Mg 0.9873 0.4969 0.0042

* E above lowest polymorph: 0.050 eV/atom
* formation energy from the elements: -2355 meV/atom
* SG: P1

Material: MgMn6O11F
Method: DFT, GGA+U
State: optimized geometry

Unit cell a=4.9927 b=5.0546 c=8.6493 alpha=89.37 beta=90.54 gamma=101.57
Fractional coordinates of all 19 atoms:
1 O 0.6407 0.7389 0.3223
2 O 0.8704 0.1893 0.4920
3 O 0.1199 0.8008 0.4982
4 O 0.6263 0.7552 0.0031
5 O 0.3477 0.2626 0.9978
6 O 0.1319 0.7935 0.8307
7 O 0.6583 0.7297 0.6579
8 O 0.3654 0.2463 0.3256
9 O 0.9041 0.1944 0.1599
10 O 0.1491 0.7983 0.1613
11 O 0.3479 0.2730 0.6662
12 Mn 0.0071 0.9902 0.6561
13 Mn 0.0089 0.9815 0.9951
14 Mn 0.5591 0.4649 0.4980
15 Mn 0.4191 0.5217 0.1650
16 Mn 0.0040 0.9941 0.3353
17 Mn 0.4437 0.5431 0.8246
18 Mg 0.5234 0.0345 0.1594
19 F 0.8729 0.1879 0.8302

* E above lowest polymorph: 0.052 eV/atom
* formation energy from the elements: -1961 meV/atom
* SG: P1

For reference, final energy by record: -7.004 -6.365 -6.635 -7.007 -7.216 -5.940 -6.758 -6.955 eV per atom.